(1)
{
  "formula": "CoSbP2O8",
  "functional": "PBE+U",
  "state": "optimized geometry",
  "relative_energy_kcal_per_mol_atoms": 0.86,
  "spacegroup": "P1",
  "formation_enthalpy_0k_kj_per_mol_atoms": -212,
  "total_energy_ev_per_fu": -80.911,
  "vol_a3_per_atom": 13.0,
  "cell": [[0.129, 0.001, 4.958], [20.267, 0.006, 0.533], [0.002, 6.233, 0.001]],
  "species": ["Co", "Co", "Co", "Co", "Sb", "Sb", "Sb", "Sb", "P", "P", "P", "P", "P", "P", "P", "P", "O", "O", "O", "O", "O", "O", "O", "O", "O", "O", "O", "O", "O", "O", "O", "O", "O", "O", "O", "O", "O", "O", "O", "O", "O", "O", "O", "O", "O", "O", "O", "O"],
  "frac_coords": [[0.441, 0.614, 0.750], [0.560, 0.387, 0.250], [0.432, 0.111, 0.750], [0.571, 0.889, 0.246], [0.944, 0.141, 0.250], [0.953, 0.642, 0.250], [0.047, 0.358, 0.750], [0.058, 0.859, 0.749], [0.398, 0.047, 0.250], [0.407, 0.548, 0.250], [0.593, 0.452, 0.750], [0.605, 0.953, 0.750], [0.878, 0.202, 0.750], [0.885, 0.703, 0.750], [0.114, 0.297, 0.250], [0.119, 0.798, 0.251], [0.645, 0.026, 0.752], [0.634, 0.525, 0.750], [0.365, 0.475, 0.250], [0.353, 0.974, 0.249], [0.704, 0.058, 0.250], [0.713, 0.560, 0.250], [0.287, 0.440, 0.750], [0.300, 0.940, 0.750], [0.182, 0.192, 0.750], [0.189, 0.693, 0.750], [0.810, 0.307, 0.250], [0.814, 0.807, 0.253], [0.204, 0.223, 0.250], [0.208, 0.723, 0.248], [0.792, 0.277, 0.750], [0.797, 0.778, 0.751], [0.246, 0.085, 0.057], [0.254, 0.586, 0.058], [0.246, 0.085, 0.443], [0.254, 0.586, 0.442], [0.747, 0.414, 0.558], [0.759, 0.915, 0.558], [0.746, 0.414, 0.942], [0.758, 0.915, 0.942], [0.738, 0.167, 0.945], [0.747, 0.668, 0.945], [0.738, 0.167, 0.555], [0.746, 0.668, 0.555], [0.252, 0.333, 0.055], [0.255, 0.834, 0.056], [0.252, 0.333, 0.445], [0.260, 0.832, 0.445]]
}

(2)
{
  "formula": "Mo2C8Br8N2O3",
  "functional": "PBE+U",
  "state": "optimized geometry",
  "spacegroup": "P2_12_12_1",
  "formation_enthalpy_0k_kj_per_mol_atoms": 90,
  "total_energy_ev_per_fu": -112.383,
  "vol_a3_per_atom": 36.3,
  "cell": [[-9.301, 2.476, -5.733], [5.751, -0.995, -9.760], [-6.153, -25.489, -1.026]],
  "species": ["Mo", "Mo", "Mo", "Mo", "Mo", "Mo", "Mo", "Mo", "C", "C", "C", "C", "C", "C", "C", "C", "C", "C", "C", "C", "C", "C", "C", "C", "C", "C", "C", "C", "C", "C", "C", "C", "C", "C", "C", "C", "C", "C", "C", "C", "Br", "Br", "Br", "Br", "Br", "Br", "Br", "Br", "Br", "Br", "Br", "Br", "Br", "Br", "Br", "Br", "Br", "Br", "Br", "Br", "Br", "Br", "Br", "Br", "Br", "Br", "Br", "Br", "Br", "Br", "Br", "Br", "N", "N", "N", "N", "N", "N", "N", "N", "O", "O", "O", "O", "O", "O", "O", "O", "O", "O", "O", "O"],
  "frac_coords": [[0.996, 0.043, 0.411], [0.496, 0.457, 0.589], [0.504, 0.957, 0.911], [0.004, 0.543, 0.089], [0.738, 0.988, 0.343], [0.238, 0.512, 0.657], [0.762, 0.012, 0.843], [0.262, 0.488, 0.157], [0.144, 0.134, 0.717], [0.644, 0.366, 0.283], [0.356, 0.866, 0.217], [0.856, 0.634, 0.783], [0.187, 0.030, 0.737], [0.687, 0.470, 0.263], [0.313, 0.970, 0.237], [0.813, 0.530, 0.763], [0.250, 0.134, 0.744], [0.750, 0.366, 0.256], [0.250, 0.866, 0.244], [0.750, 0.634, 0.756], [0.159, 0.814, 0.753], [0.659, 0.686, 0.247], [0.341, 0.186, 0.253], [0.841, 0.314, 0.747], [0.796, 0.001, 0.607], [0.296, 0.499, 0.393], [0.704, 0.999, 0.107], [0.204, 0.501, 0.893], [0.726, 0.889, 0.603], [0.226, 0.611, 0.397], [0.774, 0.111, 0.103], [0.274, 0.389, 0.897], [0.636, 0.978, 0.620], [0.136, 0.522, 0.380], [0.864, 0.022, 0.120], [0.364, 0.478, 0.880], [0.696, 0.954, 0.555], [0.196, 0.546, 0.445], [0.804, 0.046, 0.055], [0.304, 0.454, 0.945], [0.945, 0.875, 0.343], [0.445, 0.625, 0.657], [0.555, 0.125, 0.843], [0.055, 0.375, 0.157], [0.894, 0.167, 0.337], [0.394, 0.333, 0.663], [0.606, 0.833, 0.837], [0.106, 0.667, 0.163], [0.922, 0.195, 0.470], [0.422, 0.305, 0.530], [0.578, 0.805, 0.970], [0.078, 0.695, 0.030], [0.984, 0.885, 0.476], [0.484, 0.615, 0.524], [0.516, 0.115, 0.976], [0.016, 0.385, 0.024], [0.202, 0.082, 0.391], [0.702, 0.418, 0.609], [0.298, 0.918, 0.891], [0.798, 0.582, 0.109], [0.654, 0.817, 0.388], [0.154, 0.683, 0.612], [0.846, 0.183, 0.888], [0.346, 0.317, 0.112], [0.604, 0.125, 0.388], [0.104, 0.375, 0.612], [0.896, 0.875, 0.888], [0.396, 0.625, 0.112], [0.699, 0.984, 0.253], [0.199, 0.516, 0.747], [0.801, 0.016, 0.753], [0.301, 0.484, 0.247], [0.176, 0.916, 0.745], [0.676, 0.584, 0.255], [0.324, 0.084, 0.245], [0.824, 0.416, 0.755], [0.693, 0.065, 0.585], [0.193, 0.435, 0.415], [0.807, 0.935, 0.085], [0.307, 0.565, 0.915], [0.189, 0.050, 0.035], [0.689, 0.450, 0.965], [0.311, 0.950, 0.535], [0.811, 0.550, 0.465], [0.267, 0.968, 0.041], [0.767, 0.532, 0.959], [0.233, 0.032, 0.541], [0.733, 0.468, 0.459], [0.146, 0.066, 0.990], [0.646, 0.434, 0.010], [0.354, 0.934, 0.490], [0.854, 0.566, 0.510]]
}

(3)
{
  "formula": "MgCoNi4O8",
  "functional": "PBE+U",
  "state": "optimized geometry",
  "relative_energy_kcal_per_mol_atoms": 1.38,
  "spacegroup": "Cm",
  "formation_enthalpy_0k_kj_per_mol_atoms": -121,
  "total_energy_ev_per_fu": -71.650,
  "vol_a3_per_atom": 10.5,
  "cell": [[2.847, 1.569, 9.899], [-2.847, 1.569, 9.899], [0.000, -0.239, 14.887]],
  "species": ["Mg", "Co", "Ni", "Ni", "Ni", "Ni", "O", "O", "O", "O", "O", "O", "O", "O"],
  "frac_coords": [[0.038, 0.038, 0.806], [0.509, 0.509, 0.984], [0.988, 0.485, 0.014], [0.960, 0.960, 0.087], [0.000, 0.000, 0.500], [0.485, 0.988, 0.014], [0.961, 0.512, 0.759], [0.029, 0.514, 0.229], [0.968, 0.968, 0.310], [0.014, 0.014, 0.706], [0.423, 0.423, 0.839], [0.549, 0.549, 0.190], [0.512, 0.961, 0.759], [0.514, 0.029, 0.229]]
}

(4)
{
  "formula": "Mg14NbVO16",
  "functional": "PBE+U",
  "state": "optimized geometry",
  "relative_energy_kcal_per_mol_atoms": 0.10,
  "spacegroup": "Pmmm",
  "formation_enthalpy_0k_kj_per_mol_atoms": -273,
  "total_energy_ev_per_fu": -198.712,
  "vol_a3_per_atom": 10.0,
  "cell": [[-3.451, -1.678, -7.708], [2.102, -8.351, 0.877], [-3.791, -0.758, 1.863]],
  "species": ["Mg", "Mg", "Mg", "Mg", "Mg", "Mg", "Mg", "Mg", "Mg", "Mg", "Mg", "Mg", "Mg", "Mg", "Nb", "V", "O", "O", "O", "O", "O", "O", "O", "O", "O", "O", "O", "O", "O", "O", "O", "O"],
  "frac_coords": [[0.500, 0.000, 0.000], [0.500, 0.500, 0.000], [0.000, 0.246, 0.500], [0.000, 0.754, 0.500], [0.500, 0.249, 0.500], [0.500, 0.751, 0.500], [0.251, 0.000, 0.500], [0.255, 0.500, 0.500], [0.749, 0.000, 0.500], [0.745, 0.500, 0.500], [0.253, 0.249, 0.000], [0.253, 0.751, 0.000], [0.747, 0.249, 0.000], [0.747, 0.751, 0.000], [0.000, 0.500, 0.000], [0.000, 0.000, 0.000], [0.256, 0.000, 0.000], [0.263, 0.500, 0.000], [0.744, 0.000, 0.000], [0.737, 0.500, 0.000], [0.249, 0.250, 0.500], [0.249, 0.750, 0.500], [0.751, 0.250, 0.500], [0.751, 0.750, 0.500], [0.000, 0.000, 0.500], [0.000, 0.500, 0.500], [0.500, 0.000, 0.500], [0.500, 0.500, 0.500], [0.000, 0.244, 0.000], [0.000, 0.756, 0.000], [0.500, 0.249, 0.000], [0.500, 0.751, 0.000]]
}

(5)
{
  "formula": "KMnH5S2O10",
  "functional": "PBE+U",
  "state": "optimized geometry",
  "relative_energy_kcal_per_mol_atoms": 13.19,
  "spacegroup": "P1",
  "formation_enthalpy_0k_kj_per_mol_atoms": -115,
  "total_energy_ev_per_fu": -99.191,
  "vol_a3_per_atom": 14.4,
  "cell": [[6.257, 0.000, 0.000], [2.184, 6.355, 0.000], [1.136, 0.371, 6.872]],
  "species": ["K", "Mn", "H", "H", "H", "H", "H", "S", "S", "O", "O", "O", "O", "O", "O", "O", "O", "O", "O"],
  "frac_coords": [[0.600, 0.816, 0.925], [0.976, 0.150, 0.216], [0.748, 0.187, 0.689], [0.611, 0.743, 0.504], [0.309, 0.126, 0.435], [0.347, 0.280, 0.257], [0.318, 0.725, 0.283], [0.925, 0.794, 0.325], [0.028, 0.274, 0.758], [0.305, 0.152, 0.290], [0.223, 0.089, 0.683], [0.717, 0.236, 0.426], [0.131, 0.842, 0.154], [0.773, 0.410, 0.323], [0.342, 0.645, 0.416], [0.055, 0.308, 0.966], [0.104, 0.689, 0.496], [0.720, 0.801, 0.547], [0.802, 0.181, 0.818]]
}

(6)
{
  "formula": "MgCo2Mo2O8",
  "functional": "PBE+U",
  "state": "optimized geometry",
  "relative_energy_kcal_per_mol_atoms": 5.38,
  "spacegroup": "P1",
  "formation_enthalpy_0k_kj_per_mol_atoms": -160,
  "total_energy_ev_per_fu": -83.465,
  "vol_a3_per_atom": 11.2,
  "cell": [[-0.081, -4.710, -1.670], [5.149, 0.153, -0.208], [-0.052, -2.170, 5.262]],
  "species": ["Mg", "Co", "Co", "Mo", "Mo", "O", "O", "O", "O", "O", "O", "O", "O"],
  "frac_coords": [[0.532, 0.058, 0.991], [0.474, 0.266, 0.606], [0.523, 0.742, 0.365], [0.021, 0.276, 0.166], [0.990, 0.726, 0.825], [0.766, 0.407, 0.379], [0.318, 0.104, 0.311], [0.242, 0.593, 0.608], [0.699, 0.894, 0.673], [0.821, 0.903, 0.139], [0.239, 0.586, 0.093], [0.192, 0.093, 0.849], [0.767, 0.402, 0.898]]
}

(7)
{
  "formula": "Li9Mn7O16",
  "functional": "PBE+U",
  "state": "optimized geometry",
  "relative_energy_kcal_per_mol_atoms": 0.08,
  "spacegroup": "C2/m",
  "formation_enthalpy_0k_kj_per_mol_atoms": -207,
  "total_energy_ev_per_fu": -206.326,
  "vol_a3_per_atom": 9.3,
  "cell": [[2.870, 9.740, 0.000], [-2.870, 9.740, 0.000], [0.000, 0.611, 5.304]],
  "species": ["Li", "Li", "Li", "Li", "Li", "Li", "Li", "Li", "Li", "Mn", "Mn", "Mn", "Mn", "Mn", "Mn", "Mn", "O", "O", "O", "O", "O", "O", "O", "O", "O", "O", "O", "O", "O", "O", "O", "O"],
  "frac_coords": [[0.621, 0.129, 0.252], [0.379, 0.871, 0.748], [0.129, 0.621, 0.252], [0.380, 0.380, 0.752], [0.122, 0.122, 0.256], [0.878, 0.878, 0.744], [0.871, 0.379, 0.748], [0.620, 0.620, 0.248], [0.500, 0.500, 0.000], [0.000, 0.000, 0.000], [0.251, 0.749, 0.500], [0.750, 0.750, 0.500], [0.250, 0.250, 0.500], [0.500, 0.000, 0.000], [0.000, 0.500, 0.000], [0.749, 0.251, 0.500], [0.708, 0.189, 0.838], [0.442, 0.942, 0.395], [0.189, 0.708, 0.838], [0.442, 0.442, 0.398], [0.190, 0.190, 0.899], [0.942, 0.942, 0.390], [0.942, 0.442, 0.395], [0.690, 0.690, 0.899], [0.558, 0.058, 0.605], [0.292, 0.811, 0.162], [0.058, 0.558, 0.605], [0.310, 0.310, 0.101], [0.058, 0.058, 0.610], [0.810, 0.810, 0.101], [0.811, 0.292, 0.162], [0.558, 0.558, 0.602]]
}

(8)
{
  "formula": "Fe3CoBi4O12",
  "functional": "PBE+U",
  "state": "optimized geometry",
  "spacegroup": "P1",
  "formation_enthalpy_0k_kj_per_mol_atoms": -149,
  "total_energy_ev_per_fu": -121.617,
  "vol_a3_per_atom": 13.2,
  "cell": [[-0.795, -0.947, -5.519], [-1.188, -5.353, -1.625], [-9.622, -0.426, -0.997]],
  "species": ["Fe", "Fe", "Fe", "Co", "Bi", "Bi", "Bi", "Bi", "O", "O", "O", "O", "O", "O", "O", "O", "O", "O", "O", "O"],
  "frac_coords": [[0.898, 0.816, 0.357], [0.155, 0.067, 0.609], [0.438, 0.303, 0.853], [0.661, 0.535, 0.112], [0.008, 0.013, 0.990], [0.197, 0.271, 0.251], [0.478, 0.548, 0.481], [0.724, 0.746, 0.760], [0.277, 0.633, 0.226], [0.126, 0.339, 0.000], [0.044, 0.412, 0.479], [0.817, 0.154, 0.211], [0.787, 0.619, 0.251], [0.077, 0.896, 0.475], [0.825, 0.104, 0.746], [0.540, 0.909, 0.474], [0.632, 0.851, 0.979], [0.356, 0.636, 0.713], [0.332, 0.105, 0.752], [0.629, 0.398, 0.960]]
}

(9)
{
  "formula": "Cr7FeO12",
  "functional": "PBE+U",
  "state": "optimized geometry",
  "relative_energy_kcal_per_mol_atoms": 0.55,
  "spacegroup": "P1",
  "formation_enthalpy_0k_kj_per_mol_atoms": -181,
  "total_energy_ev_per_fu": -148.517,
  "vol_a3_per_atom": 12.0,
  "cell": [[8.983, 0.187, -0.768], [0.174, 10.492, 0.429], [-0.711, 0.427, 10.269]],
  "species": ["Cr", "Cr", "Cr", "Cr", "Cr", "Cr", "Cr", "Cr", "Cr", "Cr", "Cr", "Cr", "Cr", "Cr", "Cr", "Cr", "Cr", "Cr", "Cr", "Cr", "Cr", "Cr", "Cr", "Cr", "Cr", "Cr", "Cr", "Cr", "Fe", "Fe", "Fe", "Fe", "O", "O", "O", "O", "O", "O", "O", "O", "O", "O", "O", "O", "O", "O", "O", "O", "O", "O", "O", "O", "O", "O", "O", "O", "O", "O", "O", "O", "O", "O", "O", "O", "O", "O", "O", "O", "O", "O", "O", "O", "O", "O", "O", "O", "O", "O", "O", "O"],
  "frac_coords": [[0.181, 0.227, 0.101], [0.873, 0.755, 0.910], [0.225, 0.025, 0.304], [0.637, 0.046, 0.121], [0.738, 0.519, 0.091], [0.347, 0.368, 0.331], [0.117, 0.546, 0.268], [0.389, 0.364, 0.854], [0.116, 0.166, 0.830], [0.786, 0.122, 0.595], [0.953, 0.284, 0.355], [0.553, 0.814, 0.955], [0.113, 0.443, 0.566], [0.449, 0.662, 0.260], [0.367, 0.920, 0.631], [0.893, 0.953, 0.420], [0.072, 0.929, 0.732], [0.699, 0.459, 0.404], [0.628, 0.798, 0.478], [0.701, 0.552, 0.779], [0.540, 0.344, 0.632], [0.238, 0.749, 0.419], [0.663, 0.038, 0.845], [0.943, 0.689, 0.576], [0.959, 0.022, 0.119], [0.353, 0.496, 0.075], [0.031, 0.426, 0.849], [0.201, 0.824, 0.072], [0.223, 0.672, 0.821], [0.514, 0.115, 0.398], [0.713, 0.306, 0.974], [0.824, 0.766, 0.215], [0.917, 0.062, 0.759], [0.093, 0.902, 0.373], [0.215, 0.042, 0.732], [0.528, 0.304, 0.453], [0.141, 0.378, 0.392], [0.516, 0.007, 0.971], [0.069, 0.815, 0.881], [0.772, 0.122, 0.011], [0.916, 0.132, 0.463], [0.669, 0.469, 0.605], [0.815, 0.696, 0.729], [0.946, 0.873, 0.598], [0.062, 0.565, 0.702], [0.166, 0.027, 0.089], [0.899, 0.406, 0.487], [0.239, 0.484, 0.899], [0.984, 0.833, 0.105], [0.688, 0.993, 0.486], [0.518, 0.395, 0.024], [0.842, 0.467, 0.930], [0.807, 0.964, 0.226], [0.539, 0.909, 0.751], [0.325, 0.839, 0.264], [0.788, 0.388, 0.242], [0.291, 0.227, 0.939], [0.751, 0.889, 0.949], [0.626, 0.179, 0.697], [0.612, 0.749, 0.149], [0.038, 0.164, 0.233], [0.082, 0.626, 0.456], [0.585, 0.395, 0.809], [0.326, 0.193, 0.267], [0.907, 0.603, 0.177], [0.222, 0.815, 0.675], [0.425, 0.785, 0.533], [0.675, 0.654, 0.931], [0.071, 0.318, 0.714], [0.342, 0.385, 0.651], [0.617, 0.632, 0.398], [0.583, 0.148, 0.221], [0.229, 0.643, 0.132], [0.344, 0.037, 0.486], [0.498, 0.482, 0.238], [0.318, 0.572, 0.373], [0.828, 0.776, 0.406], [0.203, 0.409, 0.159], [0.016, 0.263, 0.953], [0.356, 0.757, 0.960]]
}